(1)
This record from the Materials Project describes MnAg2SnS4 after structural relaxation. The functional is PBE.

```
data_MnAg2SnS4
_chemical_formula_sum 'Mn2 Ag4 Sn2 S8'
_symmetry_space_group_name_H-M 'P 1'
_symmetry_Int_Tables_number 1
_symmetry_space_group_name_Hall 'P 1'
_cell_length_a 6.787
_cell_length_b 7.198
_cell_length_c 8.002
_cell_angle_alpha 90.00
_cell_angle_beta 90.00
_cell_angle_gamma 90.00
loop_
_atom_site_label
_atom_site_type_symbol
_atom_site_fract_x
_atom_site_fract_y
_atom_site_fract_z
_atom_site_occupancy
Mn1 Mn 0.505 0.346 0.000 1
Mn2 Mn 0.005 0.654 0.500 1
Ag1 Ag 0.517 0.828 0.752 1
Ag2 Ag 0.017 0.172 0.748 1
Ag3 Ag 0.017 0.172 0.252 1
Ag4 Ag 0.517 0.828 0.248 1
Sn1 Sn 0.001 0.661 0.000 1
Sn2 Sn 0.501 0.339 0.500 1
S1 S 0.860 0.349 0.000 1
S2 S 0.360 0.651 0.500 1
S3 S 0.894 0.829 0.746 1
S4 S 0.394 0.171 0.754 1
S5 S 0.394 0.171 0.246 1
S6 S 0.894 0.829 0.254 1
S7 S 0.363 0.651 0.000 1
S8 S 0.863 0.349 0.500 1
```

## Properties
**Symmetry**: Pmn2_1, No. 31
**DFT formation energy**: -0.59 eV per atom
**Total energy after the MP2020 corrections**: -5.009 eV per atom



(2)
This record from the Materials Project describes Al2O3 after structural relaxation. The functional is PBE.

```
data_Al2O3
_chemical_formula_sum 'Al16 O24'
_symmetry_space_group_name_H-M 'P 1'
_symmetry_Int_Tables_number 1
_symmetry_space_group_name_Hall 'P 1'
_cell_length_a 5.655
_cell_length_b 5.658
_cell_length_c 13.642
_cell_angle_alpha 92.17
_cell_angle_beta 89.35
_cell_angle_gamma 119.64
loop_
_atom_site_label
_atom_site_type_symbol
_atom_site_fract_x
_atom_site_fract_y
_atom_site_fract_z
_atom_site_occupancy
Al1 Al 0.817 0.154 0.962 1
Al2 Al 0.313 0.137 0.834 1
Al3 Al 0.123 0.792 0.660 1
Al4 Al 0.304 0.642 0.839 1
Al5 Al 0.815 0.631 0.834 1
Al6 Al 0.654 0.844 0.287 1
Al7 Al 0.942 0.940 0.490 1
Al8 Al 0.316 0.164 0.334 1
Al9 Al 0.145 0.321 0.644 1
Al10 Al 0.642 0.818 0.667 1
Al11 Al 0.499 0.023 0.495 1
Al12 Al 0.666 0.328 0.173 1
Al13 Al 0.979 0.465 0.380 1
Al14 Al 0.134 0.324 0.172 1
Al15 Al 0.146 0.822 0.063 1
Al16 Al 0.492 0.507 0.014 1
O1 O 0.636 0.322 0.911 1
O2 O 0.003 0.497 0.752 1
O3 O 0.166 0.321 0.913 1
O4 O 0.142 0.815 0.914 1
O5 O 0.469 0.482 0.758 1
O6 O 0.318 0.657 0.597 1
O7 O 0.636 0.836 0.420 1
O8 O 0.446 0.944 0.758 1
O9 O 0.816 0.680 0.591 1
O10 O 0.636 0.792 0.916 1
O11 O 0.803 0.119 0.590 1
O12 O 0.979 0.954 0.756 1
O13 O 0.005 0.020 0.250 1
O14 O 0.158 0.828 0.422 1
O15 O 0.488 0.024 0.249 1
O16 O 0.128 0.274 0.423 1
O17 O 0.331 0.184 0.084 1
O18 O 0.278 0.108 0.589 1
O19 O 0.473 0.479 0.248 1
O20 O 0.631 0.309 0.419 1
O21 O 0.824 0.172 0.088 1
O22 O 0.797 0.627 0.084 1
O23 O 0.978 0.480 0.249 1
O24 O 0.302 0.629 0.082 1
```

## Properties
**Symmetry**: P1, No. 1
**DFT formation energy**: -3.32 eV per atom
**Total energy after the MP2020 corrections**: -7.783 eV per atom



(3)
This record from the Materials Project describes Ti2N2O after structural relaxation. The functional is PBE.

```
data_Ti2N2O
_chemical_formula_sum 'Ti16 N16 O8'
_symmetry_space_group_name_H-M 'P 1'
_symmetry_Int_Tables_number 1
_symmetry_space_group_name_Hall 'P 1'
_cell_length_a 8.229
_cell_length_b 8.232
_cell_length_c 8.202
_cell_angle_alpha 109.35
_cell_angle_beta 109.37
_cell_angle_gamma 109.58
loop_
_atom_site_label
_atom_site_type_symbol
_atom_site_fract_x
_atom_site_fract_y
_atom_site_fract_z
_atom_site_occupancy
Ti1 Ti 0.500 0.000 0.986 1
Ti2 Ti 0.748 0.299 0.539 1
Ti3 Ti 0.212 0.957 0.250 1
Ti4 Ti 0.712 0.464 0.247 1
Ti5 Ti 0.241 0.204 0.946 1
Ti6 Ti 0.013 0.515 0.010 1
Ti7 Ti 0.967 0.261 0.205 1
Ti8 Ti 0.501 0.498 0.512 1
Ti9 Ti 0.540 0.747 0.300 1
Ti10 Ti 0.996 0.996 0.508 1
Ti11 Ti 0.456 0.258 0.714 1
Ti12 Ti 0.034 0.736 0.784 1
Ti13 Ti 0.754 0.791 0.044 1
Ti14 Ti 0.795 0.042 0.760 1
Ti15 Ti 0.287 0.541 0.746 1
Ti16 Ti 0.253 0.702 0.463 1
N1 N 0.725 0.993 0.953 1
N2 N 0.511 0.234 0.960 1
N3 N 0.458 0.223 0.450 1
N4 N 0.774 0.548 0.537 1
N5 N 0.773 0.727 0.266 1
N6 N 0.053 0.276 0.012 1
N7 N 0.958 0.507 0.233 1
N8 N 0.224 0.448 0.461 1
N9 N 0.551 0.539 0.778 1
N10 N 0.279 0.740 0.225 1
N11 N 0.541 0.773 0.547 1
N12 N 0.951 0.726 0.993 1
N13 N 0.989 0.950 0.723 1
N14 N 0.223 0.270 0.733 1
N15 N 0.037 0.487 0.762 1
N16 N 0.271 0.780 0.728 1
O1 O 0.274 0.008 0.049 1
O2 O 0.768 0.043 0.490 1
O3 O 0.730 0.222 0.277 1
O4 O 0.449 0.462 0.221 1
O5 O 0.225 0.956 0.503 1
O6 O 0.723 0.258 0.767 1
O7 O 0.011 0.050 0.275 1
O8 O 0.492 0.767 0.042 1
```

## Properties
**Symmetry**: P1, No. 1
**DFT formation energy**: -1.99 eV per atom
**Total energy after the MP2020 corrections**: -9.469 eV per atom



(4)
This record from the Materials Project describes Na8Nb2Cu4S21 after structural relaxation. The functional is PBE.

```
data_Na8Nb2Cu4S21
_chemical_formula_sum 'Na16 Nb4 Cu8 S42'
_symmetry_space_group_name_H-M 'P 1'
_symmetry_Int_Tables_number 1
_symmetry_space_group_name_Hall 'P 1'
_cell_length_a 6.825
_cell_length_b 7.861
_cell_length_c 30.122
_cell_angle_alpha 90.00
_cell_angle_beta 90.00
_cell_angle_gamma 90.00
loop_
_atom_site_label
_atom_site_type_symbol
_atom_site_fract_x
_atom_site_fract_y
_atom_site_fract_z
_atom_site_occupancy
Na1 Na 0.442 0.239 0.759 1
Na2 Na 0.857 0.248 0.853 1
Na3 Na 0.837 0.235 0.142 1
Na4 Na 0.240 0.000 0.500 1
Na5 Na 0.143 0.748 0.647 1
Na6 Na 0.163 0.265 0.642 1
Na7 Na 0.558 0.261 0.259 1
Na8 Na 0.163 0.735 0.358 1
Na9 Na 0.143 0.252 0.353 1
Na10 Na 0.760 0.500 0.000 1
Na11 Na 0.540 0.500 0.500 1
Na12 Na 0.837 0.765 0.858 1
Na13 Na 0.558 0.739 0.741 1
Na14 Na 0.460 0.000 0.000 1
Na15 Na 0.442 0.761 0.241 1
Na16 Na 0.857 0.752 0.147 1
Nb1 Nb 0.460 0.501 0.107 1
Nb2 Nb 0.460 0.499 0.893 1
Nb3 Nb 0.540 0.999 0.607 1
Nb4 Nb 0.540 0.001 0.393 1
Cu1 Cu 0.226 0.751 0.069 1
Cu2 Cu 0.224 0.252 0.067 1
Cu3 Cu 0.774 0.749 0.569 1
Cu4 Cu 0.226 0.249 0.931 1
Cu5 Cu 0.774 0.251 0.431 1
Cu6 Cu 0.224 0.748 0.933 1
Cu7 Cu 0.776 0.752 0.433 1
Cu8 Cu 0.776 0.248 0.567 1
S1 S 0.414 0.996 0.322 1
S2 S 0.196 0.849 0.792 1
S3 S 0.005 0.012 0.248 1
S4 S 0.079 0.219 0.999 1
S5 S 0.686 0.492 0.339 1
S6 S 0.881 0.000 0.396 1
S7 S 0.921 0.281 0.499 1
S8 S 0.438 0.234 0.567 1
S9 S 0.876 0.499 0.606 1
S10 S 0.196 0.151 0.208 1
S11 S 0.565 0.260 0.930 1
S12 S 0.254 0.500 0.711 1
S13 S 0.921 0.719 0.501 1
S14 S 0.435 0.760 0.570 1
S15 S 0.586 0.496 0.178 1
S16 S 0.094 0.500 0.500 1
S17 S 0.314 0.008 0.839 1
S18 S 0.414 0.004 0.678 1
S19 S 0.906 0.000 0.000 1
S20 S 0.079 0.781 0.001 1
S21 S 0.119 0.500 0.104 1
S22 S 0.435 0.240 0.430 1
S23 S 0.746 0.000 0.789 1
S24 S 0.124 0.001 0.106 1
S25 S 0.119 0.500 0.896 1
S26 S 0.995 0.488 0.748 1
S27 S 0.876 0.501 0.394 1
S28 S 0.804 0.349 0.708 1
S29 S 0.995 0.512 0.252 1
S30 S 0.565 0.740 0.070 1
S31 S 0.804 0.651 0.292 1
S32 S 0.686 0.508 0.661 1
S33 S 0.438 0.766 0.433 1
S34 S 0.254 0.500 0.289 1
S35 S 0.005 0.988 0.752 1
S36 S 0.881 0.000 0.604 1
S37 S 0.562 0.266 0.067 1
S38 S 0.124 0.999 0.894 1
S39 S 0.586 0.504 0.822 1
S40 S 0.562 0.734 0.933 1
S41 S 0.314 0.992 0.161 1
S42 S 0.746 0.000 0.211 1
```

## Properties
**Symmetry**: P2_12_12, No. 18
**DFT formation energy**: -0.95 eV per atom
**Total energy after the MP2020 corrections**: -4.775 eV per atom



(5)
This record from the Materials Project describes Tb3Ir after structural relaxation. The functional is PBE.

```
data_Tb3Ir
_chemical_formula_sum 'Tb12 Ir4'
_symmetry_space_group_name_H-M 'P 1'
_symmetry_Int_Tables_number 1
_symmetry_space_group_name_Hall 'P 1'
_cell_length_a 6.370
_cell_length_b 7.264
_cell_length_c 9.358
_cell_angle_alpha 90.00
_cell_angle_beta 90.00
_cell_angle_gamma 90.00
loop_
_atom_site_label
_atom_site_type_symbol
_atom_site_fract_x
_atom_site_fract_y
_atom_site_fract_z
_atom_site_occupancy
Tb1 Tb 0.329 0.676 0.064 1
Tb2 Tb 0.171 0.176 0.436 1
Tb3 Tb 0.671 0.324 0.564 1
Tb4 Tb 0.829 0.824 0.936 1
Tb5 Tb 0.671 0.324 0.936 1
Tb6 Tb 0.829 0.824 0.564 1
Tb7 Tb 0.329 0.676 0.436 1
Tb8 Tb 0.171 0.176 0.064 1
Tb9 Tb 0.865 0.535 0.250 1
Tb10 Tb 0.635 0.035 0.250 1
Tb11 Tb 0.135 0.465 0.750 1
Tb12 Tb 0.365 0.965 0.750 1
Ir1 Ir 0.051 0.882 0.250 1
Ir2 Ir 0.449 0.382 0.250 1
Ir3 Ir 0.949 0.118 0.750 1
Ir4 Ir 0.551 0.618 0.750 1
```

## Properties
**Symmetry**: Pnma, No. 62
**DFT formation energy**: -0.57 eV per atom



(6)
This record from the Materials Project describes Na3YTiSiP2O12 after structural relaxation. The functional is PBE.

```
data_Na3YTiSiP2O12
_chemical_formula_sum 'Na12 Y4 Ti4 Si4 P8 O48'
_symmetry_space_group_name_H-M 'P 1'
_symmetry_Int_Tables_number 1
_symmetry_space_group_name_Hall 'P 1'
_cell_length_a 15.819
_cell_length_b 9.217
_cell_length_c 9.186
_cell_angle_alpha 90.00
_cell_angle_beta 125.85
_cell_angle_gamma 90.00
loop_
_atom_site_label
_atom_site_type_symbol
_atom_site_fract_x
_atom_site_fract_y
_atom_site_fract_z
_atom_site_occupancy
Na1 Na 0.257 0.728 0.009 1
Na2 Na 0.757 0.772 0.509 1
Na3 Na 0.757 0.228 0.009 1
Na4 Na 0.257 0.272 0.509 1
Na5 Na 0.504 0.090 0.751 1
Na6 Na 0.504 0.910 0.251 1
Na7 Na 0.004 0.590 0.751 1
Na8 Na 0.004 0.410 0.251 1
Na9 Na 0.190 0.928 0.305 1
Na10 Na 0.190 0.072 0.805 1
Na11 Na 0.690 0.428 0.305 1
Na12 Na 0.690 0.572 0.805 1
Y1 Y 0.106 0.745 0.566 1
Y2 Y 0.106 0.255 0.066 1
Y3 Y 0.606 0.245 0.566 1
Y4 Y 0.606 0.755 0.066 1
Ti1 Ti 0.899 0.763 0.941 1
Ti2 Ti 0.899 0.237 0.441 1
Ti3 Ti 0.399 0.263 0.941 1
Ti4 Ti 0.399 0.737 0.441 1
Si1 Si 0.651 0.884 0.745 1
Si2 Si 0.651 0.116 0.245 1
Si3 Si 0.151 0.384 0.745 1
Si4 Si 0.151 0.616 0.245 1
P1 P 0.991 0.958 0.752 1
P2 P 0.991 0.042 0.252 1
P3 P 0.491 0.458 0.752 1
P4 P 0.491 0.542 0.252 1
P5 P 0.353 0.915 0.750 1
P6 P 0.353 0.085 0.250 1
P7 P 0.853 0.415 0.750 1
P8 P 0.853 0.585 0.250 1
O1 O 0.157 0.560 0.752 1
O2 O 0.853 0.586 0.745 1
O3 O 0.853 0.414 0.245 1
O4 O 0.157 0.440 0.252 1
O5 O 0.657 0.060 0.752 1
O6 O 0.353 0.086 0.745 1
O7 O 0.353 0.914 0.245 1
O8 O 0.657 0.940 0.252 1
O9 O 0.431 0.567 0.586 1
O10 O 0.558 0.542 0.925 1
O11 O 0.558 0.458 0.425 1
O12 O 0.431 0.433 0.086 1
O13 O 0.931 0.067 0.586 1
O14 O 0.058 0.042 0.925 1
O15 O 0.058 0.958 0.425 1
O16 O 0.931 0.933 0.086 1
O17 O 0.258 0.867 0.746 1
O18 O 0.749 0.802 0.761 1
O19 O 0.749 0.198 0.261 1
O20 O 0.258 0.133 0.246 1
O21 O 0.758 0.367 0.746 1
O22 O 0.249 0.302 0.761 1
O23 O 0.249 0.698 0.261 1
O24 O 0.758 0.633 0.246 1
O25 O 0.353 0.864 0.584 1
O26 O 0.650 0.829 0.908 1
O27 O 0.650 0.171 0.408 1
O28 O 0.353 0.136 0.084 1
O29 O 0.853 0.364 0.584 1
O30 O 0.150 0.329 0.908 1
O31 O 0.150 0.671 0.408 1
O32 O 0.853 0.636 0.084 1
O33 O 0.452 0.863 0.926 1
O34 O 0.536 0.817 0.560 1
O35 O 0.536 0.183 0.060 1
O36 O 0.452 0.137 0.426 1
O37 O 0.952 0.363 0.926 1
O38 O 0.036 0.317 0.560 1
O39 O 0.036 0.683 0.060 1
O40 O 0.952 0.637 0.426 1
O41 O 0.063 0.859 0.734 1
O42 O 0.910 0.862 0.752 1
O43 O 0.910 0.138 0.252 1
O44 O 0.063 0.141 0.234 1
O45 O 0.563 0.359 0.734 1
O46 O 0.410 0.362 0.752 1
O47 O 0.410 0.638 0.252 1
O48 O 0.563 0.641 0.234 1
```

## Properties
**Offset from the most stable computed form**: 5.6 meV per atom
**DFT formation energy**: -3.00 eV per atom
**Total energy after the MP2020 corrections**: -7.694 eV per atom



(7)
This record from the Materials Project describes Li5GaO4 after structural relaxation. The functional is PBE.

```
data_Li5GaO4
_chemical_formula_sum 'Li40 Ga8 O32'
_symmetry_space_group_name_H-M 'P 1'
_symmetry_Int_Tables_number 1
_symmetry_space_group_name_Hall 'P 1'
_cell_length_a 9.196
_cell_length_b 9.270
_cell_length_c 9.293
_cell_angle_alpha 90.00
_cell_angle_beta 90.00
_cell_angle_gamma 90.00
loop_
_atom_site_label
_atom_site_type_symbol
_atom_site_fract_x
_atom_site_fract_y
_atom_site_fract_z
_atom_site_occupancy
Li1 Li 0.897 0.381 0.843 1
Li2 Li 0.397 0.619 0.657 1
Li3 Li 0.603 0.881 0.157 1
Li4 Li 0.103 0.119 0.343 1
Li5 Li 0.103 0.619 0.157 1
Li6 Li 0.603 0.381 0.343 1
Li7 Li 0.397 0.119 0.843 1
Li8 Li 0.897 0.881 0.657 1
Li9 Li 0.896 0.126 0.147 1
Li10 Li 0.396 0.874 0.353 1
Li11 Li 0.604 0.626 0.853 1
Li12 Li 0.104 0.374 0.647 1
Li13 Li 0.104 0.874 0.853 1
Li14 Li 0.604 0.126 0.647 1
Li15 Li 0.396 0.374 0.147 1
Li16 Li 0.896 0.626 0.353 1
Li17 Li 0.859 0.388 0.106 1
Li18 Li 0.359 0.612 0.394 1
Li19 Li 0.641 0.888 0.894 1
Li20 Li 0.836 0.607 0.620 1
Li21 Li 0.141 0.612 0.894 1
Li22 Li 0.641 0.388 0.606 1
Li23 Li 0.359 0.112 0.106 1
Li24 Li 0.859 0.888 0.394 1
Li25 Li 0.873 0.146 0.621 1
Li26 Li 0.373 0.854 0.879 1
Li27 Li 0.627 0.646 0.379 1
Li28 Li 0.127 0.354 0.121 1
Li29 Li 0.127 0.854 0.379 1
Li30 Li 0.627 0.146 0.121 1
Li31 Li 0.373 0.354 0.621 1
Li32 Li 0.873 0.646 0.879 1
Li33 Li 0.836 0.107 0.880 1
Li34 Li 0.336 0.893 0.620 1
Li35 Li 0.664 0.607 0.120 1
Li36 Li 0.164 0.393 0.380 1
Li37 Li 0.164 0.893 0.120 1
Li38 Li 0.664 0.107 0.380 1
Li39 Li 0.336 0.393 0.880 1
Li40 Li 0.141 0.112 0.606 1
Ga1 Ga 0.883 0.355 0.382 1
Ga2 Ga 0.383 0.645 0.118 1
Ga3 Ga 0.617 0.855 0.618 1
Ga4 Ga 0.117 0.145 0.882 1
Ga5 Ga 0.117 0.645 0.618 1
Ga6 Ga 0.617 0.355 0.882 1
Ga7 Ga 0.383 0.145 0.382 1
Ga8 Ga 0.883 0.855 0.118 1
O1 O 0.762 0.251 0.255 1
O2 O 0.262 0.749 0.245 1
O3 O 0.738 0.751 0.745 1
O4 O 0.238 0.249 0.755 1
O5 O 0.238 0.749 0.745 1
O6 O 0.738 0.251 0.755 1
O7 O 0.262 0.249 0.255 1
O8 O 0.762 0.751 0.245 1
O9 O 0.756 0.491 0.466 1
O10 O 0.256 0.509 0.034 1
O11 O 0.744 0.991 0.534 1
O12 O 0.244 0.009 0.966 1
O13 O 0.244 0.509 0.534 1
O14 O 0.744 0.491 0.966 1
O15 O 0.256 0.009 0.466 1
O16 O 0.756 0.991 0.034 1
O17 O 0.000 0.467 0.256 1
O18 O 0.500 0.533 0.244 1
O19 O 0.500 0.967 0.744 1
O20 O 0.000 0.033 0.756 1
O21 O 0.013 0.750 0.005 1
O22 O 0.500 0.467 0.756 1
O23 O 0.500 0.033 0.256 1
O24 O 0.000 0.967 0.244 1
O25 O 0.013 0.250 0.495 1
O26 O 0.513 0.750 0.005 1
O27 O 0.487 0.750 0.505 1
O28 O 0.987 0.250 0.995 1
O29 O 0.987 0.750 0.505 1
O30 O 0.487 0.250 0.995 1
O31 O 0.513 0.250 0.495 1
O32 O 0.000 0.533 0.744 1
```

## Properties
**Symmetry**: Pbca, No. 61
**DFT formation energy**: -2.22 eV per atom
**Total energy after the MP2020 corrections**: -5.453 eV per atom



(8)
This record from the Materials Project describes ErHg2 after structural relaxation. The functional is PBE.

```
data_ErHg2
_chemical_formula_sum 'Er1 Hg2'
_symmetry_space_group_name_H-M 'P 1'
_symmetry_Int_Tables_number 1
_symmetry_space_group_name_Hall 'P 1'
_cell_length_a 4.942
_cell_length_b 4.942
_cell_length_c 3.416
_cell_angle_alpha 90.00
_cell_angle_beta 90.00
_cell_angle_gamma 120.00
loop_
_atom_site_label
_atom_site_type_symbol
_atom_site_fract_x
_atom_site_fract_y
_atom_site_fract_z
_atom_site_occupancy
Er1 Er 0.000 0.000 0.000 1
Hg1 Hg 0.333 0.667 0.500 1
Hg2 Hg 0.667 0.333 0.500 1
```

## Properties
**Symmetry**: P6/mmm, No. 191
**DFT formation energy**: -0.36 eV per atom